1.
First-principles (GGA-PBE) data for a relaxed K2LiH2Se2O6 crystal, as listed in the Materials Project.

Cell lengths 5.877, 6.346, 7.177 Å; angles 115.52, 103.23, 99.69 degrees
Space group P1 (No. 1)
Symmetry-distinct sites (fractional):
K1 0.000 0.000 0.000 (multiplicity 1)
K2 0.362 0.829 0.430 (multiplicity 1)
Li1 0.491 0.328 0.360 (multiplicity 1)
H1 0.529 0.011 0.079 (multiplicity 1)
H2 0.853 0.595 0.334 (multiplicity 1)
Se1 0.573 0.445 0.983 (multiplicity 1)
Se2 0.989 0.354 0.586 (multiplicity 1)
O1 0.205 0.349 0.462 (multiplicity 1)
O2 0.386 0.413 0.124 (multiplicity 1)
O3 0.488 0.999 0.199 (multiplicity 1)
O4 0.614 0.165 0.857 (multiplicity 1)
O5 0.842 0.560 0.558 (multiplicity 1)
O6 0.868 0.626 0.211 (multiplicity 1)

Total magnetic moment: 1.00 μB/f.u.
Energy of formation: -1.5238 eV/atom


2.
First-principles (GGA-PBE) data for a relaxed GaP2I9 crystal, as listed in the Materials Project.

Cell lengths 11.479, 18.888, 21.713 Å; angles 90.00, 90.00, 90.00 degrees
Space group Pbca (No. 61)
Symmetry-distinct sites (fractional):
Ga1 0.127 0.221 0.121 (multiplicity 8)
P1 0.171 0.075 0.912 (multiplicity 8)
P2 0.193 0.504 0.866 (multiplicity 8)
I1 0.002 0.503 0.399 (multiplicity 8)
I2 0.006 0.712 0.285 (multiplicity 8)
I3 0.009 0.573 0.867 (multiplicity 8)
I4 0.023 0.223 0.016 (multiplicity 8)
I5 0.150 0.161 0.828 (multiplicity 8)
I6 0.172 0.094 0.438 (multiplicity 8)
I7 0.227 0.613 0.121 (multiplicity 8)
I8 0.234 0.043 0.263 (multiplicity 8)
I9 0.247 0.161 0.630 (multiplicity 8)

Total magnetic moment: 0.00 μB/f.u.
Energy of formation: -0.5183 eV/atom


3.
First-principles (GGA-PBE) data for a relaxed Na9TaZn11S18O72 crystal, as listed in the Materials Project.

Cell lengths 8.747, 8.767, 22.601 Å; angles 90.17, 90.07, 119.86 degrees
Space group P1 (No. 1)
Symmetry-distinct sites (fractional):
Na1 0.000 0.000 0.000 (multiplicity 1)
Na2 0.001 0.000 0.480 (multiplicity 1)
Na3 0.305 0.335 0.918 (multiplicity 1)
Na4 0.316 0.650 0.331 (multiplicity 1)
Na5 0.333 0.683 0.832 (multiplicity 1)
Na6 0.637 0.000 0.249 (multiplicity 1)
Na7 0.666 0.334 0.660 (multiplicity 1)
Na8 0.667 0.333 0.166 (multiplicity 1)
Na9 0.695 0.667 0.083 (multiplicity 1)
Ta1 0.000 0.000 0.643 (multiplicity 1)
Zn1 0.005 0.001 0.345 (multiplicity 1)
Zn2 0.011 0.009 0.151 (multiplicity 1)
Zn3 0.319 0.657 0.179 (multiplicity 1)
Zn4 0.329 0.676 0.984 (multiplicity 1)
Zn5 0.332 0.667 0.678 (multiplicity 1)
Zn6 0.333 0.667 0.475 (multiplicity 1)
Zn7 0.667 0.343 0.317 (multiplicity 1)
Zn8 0.668 0.335 0.501 (multiplicity 1)
Zn9 0.669 0.332 0.815 (multiplicity 1)
Zn10 0.670 0.323 0.012 (multiplicity 1)
Zn11 0.990 0.990 0.848 (multiplicity 1)
S1 0.000 0.297 0.247 (multiplicity 1)
S2 0.001 0.707 0.746 (multiplicity 1)
S3 0.033 0.667 0.079 (multiplicity 1)
S4 0.035 0.375 0.581 (multiplicity 1)
S5 0.294 0.296 0.748 (multiplicity 1)
S6 0.299 0.001 0.246 (multiplicity 1)
S7 0.331 0.367 0.077 (multiplicity 1)
S8 0.339 0.964 0.581 (multiplicity 1)
S9 0.366 0.333 0.413 (multiplicity 1)
S10 0.371 0.036 0.911 (multiplicity 1)
S11 0.624 0.661 0.581 (multiplicity 1)
S12 0.631 0.965 0.081 (multiplicity 1)
S13 0.667 0.034 0.412 (multiplicity 1)
S14 0.667 0.631 0.913 (multiplicity 1)
S15 0.702 0.701 0.244 (multiplicity 1)
S16 0.704 0.999 0.746 (multiplicity 1)
S17 0.965 0.335 0.911 (multiplicity 1)
S18 0.965 0.633 0.413 (multiplicity 1)
O1 0.009 0.825 0.084 (multiplicity 1)
O2 0.017 0.189 0.591 (multiplicity 1)
O3 0.021 0.213 0.300 (multiplicity 1)
O4 0.023 0.812 0.799 (multiplicity 1)
O5 0.116 0.475 0.636 (multiplicity 1)
O6 0.117 0.646 0.132 (multiplicity 1)
O7 0.133 0.688 0.024 (multiplicity 1)
O8 0.142 0.649 0.417 (multiplicity 1)
O9 0.145 0.442 0.528 (multiplicity 1)
O10 0.146 0.492 0.916 (multiplicity 1)
O11 0.157 0.474 0.241 (multiplicity 1)
O12 0.159 0.691 0.739 (multiplicity 1)
O13 0.171 0.983 0.591 (multiplicity 1)
O14 0.175 0.192 0.083 (multiplicity 1)
O15 0.188 0.177 0.695 (multiplicity 1)
O16 0.189 0.174 0.408 (multiplicity 1)
O17 0.193 0.979 0.299 (multiplicity 1)
O18 0.194 0.024 0.907 (multiplicity 1)
O19 0.194 0.216 0.802 (multiplicity 1)
O20 0.221 0.023 0.191 (multiplicity 1)
O21 0.297 0.855 0.528 (multiplicity 1)
O22 0.308 0.468 0.739 (multiplicity 1)
O23 0.310 0.444 0.020 (multiplicity 1)
O24 0.323 0.843 0.242 (multiplicity 1)
O25 0.350 0.493 0.417 (multiplicity 1)
O26 0.350 0.859 0.917 (multiplicity 1)
O27 0.359 0.485 0.128 (multiplicity 1)
O28 0.359 0.884 0.635 (multiplicity 1)
O29 0.444 0.310 0.469 (multiplicity 1)
O30 0.454 0.150 0.964 (multiplicity 1)
O31 0.465 0.302 0.745 (multiplicity 1)
O32 0.473 0.115 0.856 (multiplicity 1)
O33 0.473 0.353 0.361 (multiplicity 1)
O34 0.481 0.158 0.251 (multiplicity 1)
O35 0.486 0.144 0.576 (multiplicity 1)
O36 0.497 0.356 0.074 (multiplicity 1)
O37 0.502 0.645 0.917 (multiplicity 1)
O38 0.506 0.858 0.416 (multiplicity 1)
O39 0.524 0.642 0.635 (multiplicity 1)
O40 0.524 0.689 0.241 (multiplicity 1)
O41 0.530 0.884 0.136 (multiplicity 1)
O42 0.531 0.841 0.739 (multiplicity 1)
O43 0.547 0.852 0.028 (multiplicity 1)
O44 0.555 0.702 0.528 (multiplicity 1)
O45 0.638 0.518 0.860 (multiplicity 1)
O46 0.647 0.117 0.357 (multiplicity 1)
O47 0.649 0.141 0.075 (multiplicity 1)
O48 0.658 0.514 0.575 (multiplicity 1)
O49 0.682 0.525 0.250 (multiplicity 1)
O50 0.686 0.550 0.968 (multiplicity 1)
O51 0.689 0.139 0.466 (multiplicity 1)
O52 0.698 0.164 0.745 (multiplicity 1)
O53 0.788 0.979 0.799 (multiplicity 1)
O54 0.791 0.818 0.295 (multiplicity 1)
O55 0.799 0.777 0.188 (multiplicity 1)
O56 0.809 0.980 0.084 (multiplicity 1)
O57 0.810 0.829 0.591 (multiplicity 1)
O58 0.819 0.012 0.693 (multiplicity 1)
O59 0.824 0.807 0.908 (multiplicity 1)
O60 0.826 0.015 0.408 (multiplicity 1)
O61 0.836 0.312 0.252 (multiplicity 1)
O62 0.836 0.537 0.745 (multiplicity 1)
O63 0.851 0.509 0.075 (multiplicity 1)
O64 0.855 0.341 0.575 (multiplicity 1)
O65 0.860 0.313 0.965 (multiplicity 1)
O66 0.864 0.557 0.469 (multiplicity 1)
O67 0.879 0.525 0.361 (multiplicity 1)
O68 0.885 0.356 0.857 (multiplicity 1)
O69 0.968 0.188 0.193 (multiplicity 1)
O70 0.982 0.810 0.408 (multiplicity 1)
O71 0.987 0.809 0.693 (multiplicity 1)
O72 0.989 0.177 0.908 (multiplicity 1)

Total magnetic moment: 0.00 μB/f.u.
Energy of formation: -1.9924 eV/atom


4.
First-principles (GGA-PBE) data for a relaxed HoTlS2 crystal, as listed in the Materials Project.

Cell lengths 4.0109, 4.0109, 22.6323 Å; angles 90.00, 90.00, 120.00 degrees
Space group R-3m (No. 166, hexagonal axes)
Symmetry-distinct sites (fractional):
Ho1 0.0000 0.0000 0.0000 (multiplicity 3)
Tl1 0.0000 0.0000 0.5000 (multiplicity 3)
S1 0.0000 0.0000 0.2678 (multiplicity 6)

Energy of formation: -1.7378 eV/atom


5.
First-principles (GGA-PBE) data for a relaxed Sm2ZrFe16 crystal, as listed in the Materials Project.

Cell lengths 8.6430, 8.6430, 12.5194 Å; angles 90.00, 90.00, 120.00 degrees
Space group R3m (No. 160, hexagonal axes)
Symmetry-distinct sites (fractional):
Sm1 0.0000 0.0000 0.0000 (multiplicity 3)
Sm2 0.0000 0.0000 0.3070 (multiplicity 3)
Zr1 0.0000 0.0000 0.5639 (multiplicity 3)
Fe1 0.0000 0.0000 0.7645 (multiplicity 3)
Fe2 0.9998 0.3017 0.6596 (multiplicity 18)
Fe3 0.0022 0.5011 0.4998 (multiplicity 9)
Fe4 0.0065 0.5033 0.8165 (multiplicity 9)
Fe5 0.1713 0.3426 0.4913 (multiplicity 9)

Total magnetic moment: 0.75 μB/f.u.
Energy of formation: 0.2540 eV/atom


6.
First-principles (GGA-PBE) data for a relaxed YH24C9N6Cl3O3 crystal, as listed in the Materials Project.

Cell lengths 14.1374, 14.1374, 18.3101 Å; angles 90.00, 90.00, 120.00 degrees
Space group R-3 (No. 148, hexagonal axes)
Symmetry-distinct sites (fractional):
Y1 0.0000 0.0000 0.0000 (multiplicity 3)
Y2 0.0000 0.0000 0.5000 (multiplicity 3)
H1 0.0005 0.2538 0.1791 (multiplicity 18)
H2 0.0044 0.4929 0.3609 (multiplicity 18)
H3 0.0144 0.9083 0.3171 (multiplicity 18)
H4 0.0273 0.3025 0.5057 (multiplicity 18)
H5 0.0286 0.1699 0.7653 (multiplicity 18)
H6 0.0287 0.5649 0.1247 (multiplicity 18)
H7 0.0538 0.8091 0.2994 (multiplicity 18)
H8 0.0691 0.4779 0.7357 (multiplicity 18)
C1 0.0040 0.6053 0.1658 (multiplicity 18)
C2 0.0128 0.1723 0.7068 (multiplicity 18)
C3 0.0929 0.5690 0.2699 (multiplicity 18)
N1 0.0046 0.5663 0.2391 (multiplicity 18)
N2 0.0800 0.5247 0.3371 (multiplicity 18)
Cl1 0.0610 0.1766 0.9183 (multiplicity 18)
O1 0.0534 0.9047 0.5701 (multiplicity 18)

Total magnetic moment: 0.00 μB/f.u.
Energy of formation: -0.5668 eV/atom


Per-record energy, Ha/atom: -0.1789, -0.0930, -0.2119, -0.1944, -0.2876, -0.2120